No. 1
Below is an optimized crystal structure of Tl2O3, with properties calculated at the PBE-GGA level.

Computed properties:
The value obtained for the corrected total energy (MP2020 scheme) is -4.884 eV per atom. The calculation puts the energy relative to the elements at -970 meV/atom. The size of the total moment is 0.000 μB per atom.

Cell lengths 17.824, 17.824, 17.824 Å; angles 11.45, 11.45, 11.45 degrees
Element x y z (fractional)
1 Tl 0.257 0.257 0.257
2 Tl 0.743 0.743 0.743
3 Tl 0.133 0.133 0.133
4 Tl 0.867 0.867 0.867
5 O 0.939 0.939 0.939
6 O 0.438 0.438 0.438
7 O 0.185 0.185 0.185
8 O 0.061 0.061 0.061
9 O 0.815 0.815 0.815
10 O 0.562 0.562 0.562

No. 2
Below is an optimized crystal structure of TaP3, with properties calculated at the PBE-GGA level.

Computed properties:
The calculation puts the energy relative to the elements at 225 meV/atom. The size of the total moment is 0.000 μB per atom.

Cell lengths 4.992, 4.992, 4.992 Å; angles 136.24, 136.24, 63.61 degrees
Element x y z (fractional)
1 Ta 0.000 0.000 0.000
2 P 0.750 0.250 0.500
3 P 0.250 0.750 0.500
4 P 0.500 0.500 0.000

No. 3
Below is an optimized crystal structure of CuSnO6, with properties calculated at the PBE-GGA level.

Computed properties:
The value obtained for the corrected total energy (MP2020 scheme) is -5.193 eV per atom. For the relative energy among the computed polymorphs, the calculation gives 1 meV/atom. The calculation puts the energy relative to the elements at -468 meV/atom. The size of the total moment is 0.113 μB per atom.

Cell lengths 6.401, 8.110, 8.238 Å; angles 90.00, 90.00, 90.00 degrees
Element x y z (fractional)
1 Cu 0.000 0.749 0.748
2 Cu 0.500 0.751 0.248
3 Cu 0.500 0.249 0.752
4 Cu 0.000 0.251 0.252
5 Sn 0.501 0.250 0.251
6 Sn 0.001 0.250 0.751
7 Sn 0.001 0.750 0.249
8 Sn 0.501 0.750 0.749
9 O 0.857 0.768 0.995
10 O 0.357 0.732 0.495
11 O 0.357 0.268 0.505
12 O 0.857 0.232 0.005
13 O 0.141 0.734 0.503
14 O 0.641 0.766 0.003
15 O 0.641 0.234 0.997
16 O 0.141 0.266 0.497
17 O 0.859 0.497 0.270
18 O 0.359 0.997 0.230
19 O 0.359 0.003 0.770
20 O 0.859 0.503 0.730
21 O 0.141 0.007 0.228
22 O 0.641 0.507 0.272
23 O 0.641 0.493 0.728
24 O 0.141 0.993 0.772
25 O 0.235 0.663 0.832
26 O 0.735 0.837 0.332
27 O 0.735 0.163 0.668
28 O 0.235 0.337 0.168
29 O 0.762 0.833 0.664
30 O 0.262 0.667 0.164
31 O 0.262 0.333 0.836
32 O 0.762 0.167 0.336

No. 4
Below is an optimized crystal structure of Na3B3H2O7, with properties calculated at the PBE-GGA level.

Computed properties:
The value obtained for the corrected total energy (MP2020 scheme) is -6.723 eV per atom. The calculation puts the energy relative to the elements at -2361 meV/atom.

Cell lengths 7.255, 8.947, 9.709 Å; angles 90.00, 90.00, 90.00 degrees
Element x y z (fractional)
1 Na 0.502 0.771 0.197
2 Na 0.998 0.271 0.303
3 Na 0.002 0.229 0.803
4 Na 0.498 0.729 0.697
5 Na 0.498 0.229 0.803
6 Na 0.002 0.729 0.697
7 Na 0.998 0.771 0.197
8 Na 0.502 0.271 0.303
9 Na 0.750 0.036 0.170
10 Na 0.750 0.536 0.330
11 Na 0.250 0.964 0.830
12 Na 0.250 0.464 0.670
13 B 0.250 0.015 0.286
14 B 0.250 0.515 0.214
15 B 0.750 0.985 0.714
16 B 0.750 0.485 0.786
17 B 0.250 0.096 0.542
18 B 0.250 0.596 0.958
19 B 0.750 0.904 0.458
20 B 0.750 0.404 0.042
21 B 0.250 0.824 0.481
22 B 0.250 0.324 0.019
23 B 0.750 0.176 0.519
24 B 0.750 0.676 0.981
25 H 0.376 0.085 0.111
26 H 0.124 0.585 0.389
27 H 0.876 0.915 0.889
28 H 0.624 0.415 0.611
29 H 0.624 0.915 0.889
30 H 0.876 0.415 0.611
31 H 0.124 0.085 0.111
32 H 0.376 0.585 0.389
33 O 0.417 0.034 0.197
34 O 0.083 0.534 0.303
35 O 0.917 0.966 0.803
36 O 0.583 0.466 0.697
37 O 0.583 0.966 0.803
38 O 0.917 0.466 0.697
39 O 0.083 0.034 0.197
40 O 0.417 0.534 0.303
41 O 0.250 0.862 0.343
42 O 0.250 0.362 0.157
43 O 0.750 0.138 0.657
44 O 0.750 0.638 0.843
45 O 0.250 0.126 0.400
46 O 0.250 0.626 0.100
47 O 0.750 0.874 0.600
48 O 0.750 0.374 0.900
49 O 0.250 0.200 0.639
50 O 0.250 0.700 0.861
51 O 0.750 0.800 0.361
52 O 0.750 0.300 0.139
53 O 0.250 0.940 0.580
54 O 0.250 0.440 0.920
55 O 0.750 0.060 0.420
56 O 0.750 0.560 0.080
57 O 0.250 0.680 0.523
58 O 0.250 0.180 0.977
59 O 0.750 0.320 0.477
60 O 0.750 0.820 0.023